83
Lattice="12.6605 0.0000 0.0071 0.0000 12.6534 0.0000 0.0104 0.0000 12.0456" Properties=species:S:1:pos:R:3 comment="PBE K6Al11Si13Ag5O48, optimized geometry" e_above_lowest_polymorph_ev_per_atom=0.000 rho_g_cm3=1.9 volume_a3_per_cell=1930 total_magnetization_mub_per_fu=0.00 space_group="Pm, No. 6" formation_energy_ev_per_fu=-236.01 pbc="T T T"
K 6.8963 4.9243 11.4634
K 6.8963 7.7290 11.4634
K 9.4943 2.9381 9.1041
K 9.4443 3.1489 2.9833
K 9.4443 9.5045 2.9833
K 9.4943 9.7153 9.1041
Al 4.6602 2.3046 0.0443
Al 4.6602 10.3487 0.0443
Al 4.7037 0.0000 9.7264
Al 7.9753 2.2140 0.1229
Al 7.8846 0.0000 2.5752
Al 7.9753 10.4393 0.1229
Al 7.9695 0.0000 9.6729
Al 10.3492 4.7490 12.0119
Al 10.3492 7.9044 12.0119
Al 10.5298 0.0000 4.4416
Al 10.6594 0.0000 7.6920
Si 0.0366 4.7788 2.2806
Si 0.0326 2.3365 7.5983
Si 0.0366 7.8745 2.2806
Si 12.6106 10.3421 4.4050
Si 0.0919 4.7461 9.7544
Si 0.0326 10.3169 7.5983
Si 2.3214 7.9130 0.0054
Si 2.3214 4.7404 0.0054
Si 2.2174 0.0000 7.5511
Si 2.1439 0.0000 4.4032
Si 4.6140 0.0000 2.3298
Si 12.6106 2.3113 4.4050
Si 0.0919 7.9072 9.7544
Ag 2.5194 10.2552 9.7222
Ag 2.5194 2.3982 9.7222
Ag 2.4982 10.1118 2.3149
Ag 2.4982 2.5416 2.3149
Ag 9.8283 0.0000 0.1118
O 0.1500 3.7418 3.5612
O 12.6412 2.7196 5.9997
O 0.1917 6.3267 2.8334
O 0.2521 3.7731 8.4245
O 0.1500 8.9116 3.5612
O 0.2521 8.8803 8.4245
O 1.3087 1.3870 4.0379
O 1.3889 4.4471 1.3516
O 1.4429 4.4115 10.6906
O 1.3087 11.2664 4.0379
O 1.3791 1.4027 7.8817
O 1.3889 8.2063 1.3516
O 1.4429 8.2418 10.6906
O 1.3791 11.2507 7.8817
O 2.7417 6.3267 12.0293
O 2.4821 0.0000 5.9604
O 3.6402 3.8276 0.0837
O 3.5601 0.0000 8.3677
O 3.6402 8.8258 0.0837
O 3.5249 0.0000 3.5917
O 4.1964 1.3591 1.4878
O 4.2189 1.4464 10.6511
O 4.1964 11.2942 1.4878
O 4.2189 11.2070 10.6511
O 6.3068 2.7736 0.1341
O 6.3165 0.0000 9.2128
O 6.3068 9.8798 0.1341
O 6.1208 0.0000 2.8420
O 8.3630 1.3915 1.6043
O 8.4157 1.3810 10.7014
O 8.3630 11.2618 1.6043
O 8.4157 11.2723 10.7014
O 9.0742 0.0000 8.3161
O 8.9837 3.6784 0.0649
O 8.9837 8.9750 0.0649
O 8.8719 0.0000 4.0084
O 9.6243 6.3267 11.8538
O 11.1071 0.0000 6.0459
O 11.3197 1.5486 3.8383
O 11.3478 4.5685 1.4499
O 11.4011 4.4364 10.5744
O 11.3197 11.1047 3.8383
O 11.4368 1.5645 8.2289
O 11.3478 8.0849 1.4499
O 11.4011 8.2169 10.5744
O 11.4368 11.0888 8.2289
O 0.2050 6.3267 9.2832
O 12.6412 9.9338 5.9997

24
Lattice="-0.3538 7.2616 2.0190 -3.7566 1.5824 -6.3496 -5.1343 -1.0238 2.7825" Properties=species:S:1:pos:R:3 comment="PBE LiDyS2O8, optimized geometry" rho_g_cm3=3.6 volume_a3_per_cell=338 total_magnetization_mub_per_fu=0.00 space_group="P-4n2, No. 118" formation_energy_ev_per_fu=-28.82 pbc="T T T"
Li -5.7290 0.0233 -1.0879
Li -1.4605 3.3749 1.7051
Dy -3.1619 0.5352 -2.4792
Dy -4.0276 2.8630 3.0964
S -6.8445 6.0138 -0.9420
S -4.9674 1.2945 0.7852
S -2.3805 5.3544 0.7358
S -4.2971 2.9777 -3.6751
O -5.8125 7.1209 -0.9275
O -4.1322 0.5597 -0.2412
O -1.2528 4.4964 0.2039
O -3.5576 4.2081 -4.1551
O -2.7920 4.6714 2.0223
O -5.7528 3.2884 -3.9497
O -7.2835 5.8963 0.5017
O -6.3955 1.0397 0.3534
O -6.2494 4.7645 -1.4717
O -4.6130 2.7331 0.8003
O -1.9141 6.7458 0.9404
O -3.8140 1.7756 -4.3943
O -4.0941 2.7037 -2.2332
O -3.5330 5.4391 -0.1915
O -4.7538 0.8038 2.1669
O -8.0076 6.3152 -1.8091

16
Lattice="5.0275 0.0000 0.0000 0.0000 6.4636 0.0000 0.0000 0.0000 11.0072" Properties=species:S:1:pos:R:3 comment="PBE LiMg6Zr, optimized geometry" e_above_lowest_polymorph_ev_per_atom=0.011 rho_g_cm3=2.3 volume_a3_per_cell=358 total_magnetization_mub_per_fu=0.94 formation_energy_ev_per_fu=0.71 pbc="T T T"
Li 2.5137 3.2318 9.1949
Li 2.5137 0.0000 3.6913
Mg 2.5137 1.6448 0.9008
Mg 2.5137 4.8188 0.9008
Mg 0.0000 1.6157 10.0680
Mg 0.0000 4.8479 10.0680
Mg 0.0000 3.2318 1.8567
Mg 0.0000 3.2318 7.3574
Mg 2.5137 4.8766 6.4044
Mg 2.5137 1.5870 6.4044
Mg 0.0000 4.8474 4.5644
Mg 0.0000 1.6161 4.5644
Mg 0.0000 0.0000 7.3603
Mg 0.0000 0.0000 1.8538
Zr 2.5137 3.2318 3.6823
Zr 2.5137 0.0000 9.1859